# 1
{"formula": "CrBPbO4", "functional": "PBE with a Hubbard U", "state": "relaxed", "sg": "Pnma", "m_tot_mub_per_fu": 3.00, "corrected_energy_ev_per_cell": -224.91, "final_energy_ev_per_atom": -7.3543, "cell": [[6.036, 0.000, 0.000], [0.000, 7.077, 0.000], [0.000, 0.000, 8.217]], "species": ["Cr", "Cr", "Cr", "Cr", "B", "B", "B", "B", "Pb", "Pb", "Pb", "Pb", "O", "O", "O", "O", "O", "O", "O", "O", "O", "O", "O", "O", "O", "O", "O", "O"], "fractional_positions": [[0.000, 0.500, 0.500], [0.500, 0.500, 0.500], [0.500, 0.000, 0.000], [0.000, 0.000, 0.000], [0.250, 0.777, 0.735], [0.250, 0.277, 0.765], [0.750, 0.723, 0.235], [0.750, 0.223, 0.265], [0.250, 0.564, 0.136], [0.750, 0.436, 0.864], [0.250, 0.064, 0.364], [0.750, 0.936, 0.636], [0.050, 0.331, 0.695], [0.550, 0.669, 0.305], [0.450, 0.831, 0.805], [0.950, 0.169, 0.195], [0.250, 0.171, 0.909], [0.750, 0.329, 0.409], [0.750, 0.829, 0.091], [0.250, 0.671, 0.591], [0.250, 0.896, 0.120], [0.750, 0.104, 0.880], [0.250, 0.396, 0.380], [0.750, 0.604, 0.620], [0.050, 0.831, 0.805], [0.550, 0.169, 0.195], [0.450, 0.331, 0.695], [0.950, 0.669, 0.305]]}



# 2
{"formula": "LiCr2P3O12", "functional": "PBE with a Hubbard U", "state": "relaxed", "sg": "Cc", "m_tot_mub_per_fu": 4.00, "corrected_energy_ev_per_cell": -282.48, "final_energy_ev_per_atom": -7.1666, "cell": [[4.269, 7.390, 0.000], [-4.269, 7.390, 0.000], [0.000, 4.882, 6.978]], "species": ["Li", "Li", "Cr", "Cr", "Cr", "Cr", "P", "P", "P", "P", "P", "P", "O", "O", "O", "O", "O", "O", "O", "O", "O", "O", "O", "O", "O", "O", "O", "O", "O", "O", "O", "O", "O", "O", "O", "O"], "fractional_positions": [[0.468, 0.007, 0.492], [0.007, 0.468, 0.992], [0.640, 0.140, 0.073], [0.140, 0.640, 0.573], [0.360, 0.856, 0.917], [0.856, 0.360, 0.417], [0.247, 0.460, 0.246], [0.748, 0.536, 0.749], [0.038, 0.962, 0.741], [0.460, 0.247, 0.746], [0.536, 0.748, 0.249], [0.962, 0.038, 0.241], [0.555, 0.914, 0.258], [0.495, 0.193, 0.931], [0.802, 0.500, 0.567], [0.874, 0.994, 0.923], [0.123, 0.003, 0.055], [0.003, 0.123, 0.555], [0.500, 0.802, 0.067], [0.079, 0.440, 0.240], [0.376, 0.690, 0.433], [0.233, 0.943, 0.729], [0.994, 0.874, 0.423], [0.298, 0.624, 0.063], [0.731, 0.580, 0.241], [0.624, 0.298, 0.563], [0.943, 0.233, 0.229], [0.193, 0.495, 0.431], [0.914, 0.555, 0.758], [0.060, 0.766, 0.747], [0.580, 0.731, 0.741], [0.265, 0.413, 0.758], [0.440, 0.079, 0.740], [0.690, 0.376, 0.933], [0.766, 0.060, 0.247], [0.413, 0.265, 0.258]]}



# 3
{"formula": "V7O13", "functional": "PBE with a Hubbard U", "state": "relaxed", "sg": "P-1", "corrected_energy_ev_per_cell": -355.02, "final_energy_ev_per_atom": -7.8340, "cell": [[-5.549, 0.000, 0.000], [2.200, 6.771, 0.000], [-0.030, -1.451, -11.342]], "species": ["V", "V", "V", "V", "V", "V", "V", "V", "V", "V", "V", "V", "V", "V", "O", "O", "O", "O", "O", "O", "O", "O", "O", "O", "O", "O", "O", "O", "O", "O", "O", "O", "O", "O", "O", "O", "O", "O", "O", "O"], "fractional_positions": [[0.000, 0.500, 0.500], [0.000, 0.000, 0.500], [0.615, 0.263, 0.648], [0.385, 0.737, 0.352], [0.590, 0.751, 0.641], [0.410, 0.249, 0.359], [0.207, 0.018, 0.786], [0.793, 0.982, 0.214], [0.207, 0.512, 0.798], [0.793, 0.488, 0.202], [0.798, 0.786, 0.941], [0.202, 0.214, 0.059], [0.789, 0.284, 0.945], [0.211, 0.716, 0.055], [0.363, 0.174, 0.511], [0.637, 0.826, 0.489], [0.875, 0.226, 0.557], [0.125, 0.774, 0.443], [0.711, 0.536, 0.607], [0.289, 0.464, 0.393], [0.243, 0.598, 0.638], [0.757, 0.402, 0.362], [0.975, 0.926, 0.671], [0.025, 0.074, 0.329], [0.501, 0.991, 0.703], [0.499, 0.009, 0.297], [0.335, 0.287, 0.746], [0.665, 0.713, 0.254], [0.809, 0.556, 0.024], [0.191, 0.444, 0.976], [0.544, 0.835, 0.057], [0.456, 0.165, 0.943], [0.048, 0.929, 0.092], [0.952, 0.071, 0.908], [0.870, 0.231, 0.121], [0.130, 0.769, 0.879], [0.418, 0.306, 0.178], [0.582, 0.694, 0.822], [0.156, 0.638, 0.207], [0.844, 0.362, 0.793]]}



# 4
{"formula": "MgFe2Si4O12", "functional": "PBE with a Hubbard U", "state": "relaxed", "sg": "Pca2_1", "m_tot_mub_per_fu": 10.00, "corrected_energy_ev_per_cell": -607.93, "final_energy_ev_per_atom": -7.3277, "cell": [[-0.219, -3.479, 3.888], [8.934, -2.926, -2.114], [6.889, 12.605, 11.667]], "species": ["Mg", "Mg", "Mg", "Mg", "Fe", "Fe", "Fe", "Fe", "Fe", "Fe", "Fe", "Fe", "Si", "Si", "Si", "Si", "Si", "Si", "Si", "Si", "Si", "Si", "Si", "Si", "Si", "Si", "Si", "Si", "O", "O", "O", "O", "O", "O", "O", "O", "O", "O", "O", "O", "O", "O", "O", "O", "O", "O", "O", "O", "O", "O", "O", "O", "O", "O", "O", "O", "O", "O", "O", "O", "O", "O", "O", "O", "O", "O", "O", "O", "O", "O", "O", "O", "O", "O", "O", "O"], "fractional_positions": [[0.143, 0.839, 0.376], [0.857, 0.839, 0.876], [0.143, 0.339, 0.124], [0.857, 0.339, 0.624], [0.126, 0.029, 0.125], [0.362, 0.980, 0.874], [0.638, 0.980, 0.374], [0.874, 0.029, 0.625], [0.126, 0.529, 0.375], [0.362, 0.480, 0.626], [0.638, 0.480, 0.126], [0.874, 0.529, 0.875], [0.325, 0.660, 0.228], [0.480, 0.831, 0.529], [0.520, 0.831, 0.029], [0.675, 0.160, 0.772], [0.832, 0.335, 0.276], [0.168, 0.835, 0.724], [0.979, 0.668, 0.528], [0.480, 0.331, 0.971], [0.520, 0.331, 0.471], [0.675, 0.660, 0.728], [0.168, 0.335, 0.776], [0.325, 0.160, 0.272], [0.021, 0.168, 0.472], [0.832, 0.835, 0.224], [0.021, 0.668, 0.028], [0.979, 0.168, 0.972], [0.657, 0.507, 0.687], [0.063, 0.025, 0.930], [0.845, 0.482, 0.317], [0.455, 0.365, 0.059], [0.003, 0.171, 0.060], [0.671, 0.196, 0.955], [0.708, 0.666, 0.815], [0.832, 0.858, 0.312], [0.455, 0.865, 0.441], [0.708, 0.166, 0.685], [0.155, 0.482, 0.817], [0.545, 0.365, 0.559], [0.400, 0.958, 0.072], [0.168, 0.858, 0.812], [0.343, 0.007, 0.313], [0.063, 0.525, 0.570], [0.155, 0.982, 0.683], [0.913, 0.750, 0.695], [0.087, 0.750, 0.195], [0.329, 0.696, 0.045], [0.545, 0.865, 0.941], [0.292, 0.666, 0.315], [0.600, 0.458, 0.928], [0.913, 0.250, 0.805], [0.997, 0.171, 0.560], [0.292, 0.166, 0.185], [0.400, 0.458, 0.428], [0.003, 0.671, 0.440], [0.937, 0.525, 0.070], [0.408, 0.734, 0.701], [0.845, 0.982, 0.183], [0.592, 0.734, 0.201], [0.592, 0.234, 0.299], [0.600, 0.958, 0.572], [0.997, 0.671, 0.940], [0.937, 0.025, 0.430], [0.087, 0.250, 0.305], [0.818, 0.791, 0.054], [0.182, 0.791, 0.554], [0.408, 0.234, 0.799], [0.182, 0.291, 0.946], [0.329, 0.196, 0.455], [0.818, 0.291, 0.446], [0.168, 0.358, 0.688], [0.343, 0.507, 0.187], [0.671, 0.696, 0.545], [0.832, 0.358, 0.188], [0.657, 0.007, 0.813]]}



# 5
{"formula": "NaSrHfWO6", "functional": "PBE with a Hubbard U", "state": "relaxed", "sg": "F-43m", "m_tot_mub_per_fu": 1.00, "corrected_energy_ev_per_cell": -84.95, "final_energy_ev_per_atom": -7.6386, "cell": [[-0.632, 5.466, 1.636], [-5.000, 2.689, -0.846], [-3.360, 1.287, 4.473]], "species": ["Na", "Sr", "Hf", "W", "O", "O", "O", "O", "O", "O"], "fractional_positions": [[0.750, 0.750, 0.750], [0.250, 0.250, 0.250], [0.000, 0.000, 0.000], [0.500, 0.500, 0.500], [0.745, 0.255, 0.255], [0.255, 0.745, 0.745], [0.745, 0.255, 0.745], [0.255, 0.745, 0.255], [0.745, 0.745, 0.255], [0.255, 0.255, 0.745]]}



# 6
{"formula": "Li4V3P8O29", "functional": "PBE with a Hubbard U", "state": "relaxed", "sg": "C2", "m_tot_mub_per_fu": 1.00, "corrected_energy_ev_per_cell": -669.56, "final_energy_ev_per_atom": -7.0399, "cell": [[4.901, 8.476, 0.000], [-4.901, 8.476, 0.000], [0.000, 0.011, 13.957]], "species": ["Li", "Li", "Li", "Li", "Li", "Li", "Li", "Li", "V", "V", "V", "V", "V", "V", "P", "P", "P", "P", "P", "P", "P", "P", "P", "P", "P", "P", "P", "P", "P", "P", "O", "O", "O", "O", "O", "O", "O", "O", "O", "O", "O", "O", "O", "O", "O", "O", "O", "O", "O", "O", "O", "O", "O", "O", "O", "O", "O", "O", "O", "O", "O", "O", "O", "O", "O", "O", "O", "O", "O", "O", "O", "O", "O", "O", "O", "O", "O", "O", "O", "O", "O", "O", "O", "O", "O", "O", "O", "O"], "fractional_positions": [[0.319, 0.909, 0.691], [0.910, 0.772, 0.690], [0.775, 0.322, 0.692], [0.091, 0.681, 0.309], [0.906, 0.323, 0.190], [0.228, 0.090, 0.310], [0.678, 0.225, 0.308], [0.677, 0.094, 0.810], [0.999, 0.568, 0.502], [0.005, 0.432, 0.994], [0.429, 0.571, 0.000], [0.564, 0.436, 0.500], [0.432, 0.001, 0.498], [0.568, 0.995, 0.006], [0.317, 0.913, 0.908], [0.314, 0.770, 0.406], [0.770, 0.914, 0.408], [0.665, 0.668, 0.623], [0.669, 0.661, 0.122], [0.911, 0.773, 0.908], [0.087, 0.683, 0.092], [0.769, 0.320, 0.909], [0.230, 0.686, 0.594], [0.912, 0.320, 0.407], [0.086, 0.230, 0.592], [0.332, 0.335, 0.377], [0.339, 0.331, 0.878], [0.227, 0.089, 0.092], [0.680, 0.231, 0.091], [0.680, 0.088, 0.593], [0.237, 0.008, 0.184], [0.336, 0.915, 0.408], [0.245, 0.764, 0.681], [0.343, 0.744, 0.916], [0.477, 0.906, 0.930], [0.512, 0.812, 0.583], [0.618, 0.905, 0.427], [0.758, 0.004, 0.684], [0.742, 0.919, 0.913], [0.521, 0.663, 0.075], [0.477, 0.618, 0.427], [0.666, 0.813, 0.077], [0.668, 0.657, 0.730], [0.667, 0.662, 0.228], [0.813, 0.674, 0.584], [0.617, 0.478, 0.926], [0.671, 0.512, 0.579], [0.916, 0.746, 0.411], [0.998, 0.793, 0.000], [0.006, 0.754, 0.183], [0.992, 0.763, 0.816], [0.902, 0.620, 0.927], [0.819, 0.512, 0.081], [0.085, 0.664, 0.592], [0.898, 0.480, 0.426], [0.745, 0.336, 0.411], [0.208, 0.792, 0.500], [0.236, 0.755, 0.319], [0.759, 0.241, 0.181], [0.256, 0.657, 0.084], [0.094, 0.523, 0.070], [0.913, 0.343, 0.914], [0.188, 0.488, 0.417], [0.095, 0.382, 0.573], [0.993, 0.239, 0.678], [0.996, 0.242, 0.316], [0.005, 0.206, 0.496], [0.081, 0.258, 0.087], [0.337, 0.479, 0.925], [0.382, 0.523, 0.573], [0.187, 0.334, 0.923], [0.338, 0.333, 0.772], [0.343, 0.332, 0.270], [0.326, 0.187, 0.416], [0.522, 0.383, 0.074], [0.488, 0.329, 0.421], [0.254, 0.084, 0.589], [0.207, 0.002, 0.000], [0.246, 0.994, 0.817], [0.380, 0.098, 0.073], [0.488, 0.181, 0.919], [0.520, 0.102, 0.574], [0.664, 0.255, 0.589], [0.759, 0.241, 0.819], [0.792, 0.208, 0.000], [0.657, 0.087, 0.086], [0.761, 0.007, 0.322], [0.794, 0.995, 0.504]]}



# 7
{"formula": "NaMg2Al6VSi6B3H3O31", "functional": "PBE with a Hubbard U", "state": "relaxed", "sg": "Cm", "m_tot_mub_per_fu": 2.00, "corrected_energy_ev_per_cell": -413.47, "final_energy_ev_per_atom": -7.3675, "cell": [[-2.651, -9.183, -1.038], [9.231, 1.130, 2.441], [0.478, -2.794, 6.651]], "species": ["Na", "Mg", "Mg", "Al", "Al", "Al", "Al", "Al", "Al", "V", "Si", "Si", "Si", "Si", "Si", "Si", "B", "B", "B", "H", "H", "H", "O", "O", "O", "O", "O", "O", "O", "O", "O", "O", "O", "O", "O", "O", "O", "O", "O", "O", "O", "O", "O", "O", "O", "O", "O", "O", "O", "O", "O", "O", "O"], "fractional_positions": [[0.995, 0.995, 0.780], [0.999, 0.816, 0.426], [0.816, 0.999, 0.426], [0.560, 0.332, 0.093], [0.775, 0.443, 0.652], [0.669, 0.225, 0.427], [0.443, 0.775, 0.652], [0.332, 0.560, 0.093], [0.225, 0.669, 0.427], [0.178, 0.178, 0.244], [0.382, 0.193, 0.808], [0.811, 0.617, 0.193], [0.806, 0.189, 0.004], [0.617, 0.811, 0.193], [0.193, 0.382, 0.808], [0.189, 0.806, 0.004], [0.333, 0.001, 0.440], [0.669, 0.669, 0.773], [0.001, 0.333, 0.440], [0.384, 0.384, 0.368], [0.000, 0.615, 0.753], [0.615, 0.000, 0.753], [0.571, 0.284, 0.636], [0.713, 0.429, 0.207], [0.715, 0.286, 0.920], [0.429, 0.713, 0.207], [0.284, 0.571, 0.636], [0.286, 0.715, 0.920], [0.484, 0.149, 0.350], [0.665, 0.516, 0.835], [0.852, 0.334, 0.502], [0.516, 0.665, 0.835], [0.149, 0.484, 0.350], [0.334, 0.852, 0.502], [0.188, 0.002, 0.462], [0.813, 0.813, 0.650], [0.002, 0.188, 0.462], [0.282, 0.282, 0.722], [0.000, 0.720, 0.005], [0.720, 0.000, 0.005], [0.280, 0.000, 0.836], [0.720, 0.720, 0.118], [0.000, 0.280, 0.836], [0.010, 0.010, 0.215], [0.387, 0.205, 0.027], [0.818, 0.612, 0.414], [0.795, 0.182, 0.233], [0.612, 0.818, 0.414], [0.205, 0.387, 0.027], [0.182, 0.795, 0.233], [0.395, 0.395, 0.226], [0.000, 0.602, 0.624], [0.602, 0.000, 0.624]]}



# 8
{"formula": "Li4CoNi3P4O16", "functional": "PBE with a Hubbard U", "state": "relaxed", "sg": "Pm", "m_tot_mub_per_fu": 9.00, "corrected_energy_ev_per_cell": -199.09, "final_energy_ev_per_atom": -6.3869, "cell": [[-5.825, -0.856, 0.802], [0.934, -3.427, 3.127], [0.027, 6.844, 7.499]], "species": ["Li", "Li", "Li", "Li", "Co", "Ni", "Ni", "Ni", "P", "P", "P", "P", "O", "O", "O", "O", "O", "O", "O", "O", "O", "O", "O", "O", "O", "O", "O", "O"], "fractional_positions": [[0.250, 0.001, 0.000], [0.750, 0.001, 0.000], [0.750, 0.499, 0.500], [0.250, 0.499, 0.500], [0.000, 0.975, 0.279], [0.500, 0.020, 0.725], [0.500, 0.480, 0.223], [0.000, 0.520, 0.776], [0.000, 0.084, 0.595], [0.000, 0.417, 0.093], [0.500, 0.584, 0.906], [0.500, 0.916, 0.406], [0.000, 0.202, 0.453], [0.208, 0.226, 0.666], [0.792, 0.226, 0.666], [0.500, 0.240, 0.400], [0.500, 0.260, 0.900], [0.207, 0.276, 0.164], [0.793, 0.276, 0.164], [0.000, 0.299, 0.950], [0.500, 0.702, 0.049], [0.707, 0.726, 0.834], [0.293, 0.726, 0.834], [0.000, 0.741, 0.098], [0.000, 0.760, 0.600], [0.706, 0.773, 0.334], [0.294, 0.773, 0.334], [0.500, 0.799, 0.549]]}



Respective formation energy from the elements values: -2341, -2467, -2480, -2756, -2933, -2570, -3042, -2364 meV/atom.